1.
This record from Materials Project describes a geometry-optimized Rb3VO8 structure. The functional is GGA+U.

## Properties
- DFT total energy (Ha/atom) = -0.1923
- SG = Pbca
- E (MP2020) (eV for the cell shown) = -526.2

```
96
Lattice="7.736 0.000 0.000 0.000 17.306 0.000 0.000 0.000 16.406" Properties=species:S:1:pos:R:3 pbc="T T T"
Rb 1.122 3.712 3.359
Rb 1.122 4.941 11.562
Rb 1.374 8.993 11.352
Rb 1.374 16.966 3.149
Rb 1.540 1.505 7.081
Rb 1.540 7.148 15.284
Rb 2.328 10.158 7.081
Rb 2.328 15.801 15.284
Rb 2.494 0.340 11.352
Rb 2.494 8.313 3.149
Rb 2.746 12.365 3.359
Rb 2.746 13.594 11.562
Rb 4.989 3.712 4.844
Rb 4.989 4.941 13.047
Rb 5.242 8.993 13.257
Rb 5.242 16.966 5.054
Rb 5.408 1.505 1.122
Rb 5.408 7.148 9.325
Rb 6.196 10.158 1.122
Rb 6.196 15.801 9.325
Rb 6.362 0.340 13.257
Rb 6.362 8.313 5.054
Rb 6.614 12.365 4.844
Rb 6.614 13.594 13.047
V 0.636 10.817 14.443
V 0.636 15.141 6.240
V 3.232 2.164 14.443
V 3.232 6.488 6.240
V 4.504 10.817 10.166
V 4.504 15.141 1.963
V 7.100 2.164 10.166
V 7.100 6.488 1.963
O 0.020 12.759 1.766
O 0.020 13.200 9.969
O 0.293 9.221 13.947
O 0.293 16.738 5.744
O 0.342 12.570 8.950
O 0.342 13.388 0.747
O 0.753 2.890 9.504
O 0.753 5.762 1.301
O 0.930 10.283 4.758
O 0.930 15.675 12.961
O 1.216 11.731 13.138
O 1.216 14.228 4.935
O 1.634 9.907 0.415
O 1.634 16.052 8.618
O 1.776 2.000 15.808
O 1.776 6.653 7.605
O 2.092 10.653 15.808
O 2.092 15.306 7.605
O 2.234 1.254 0.415
O 2.234 7.399 8.618
O 2.652 3.078 13.138
O 2.652 5.575 4.935
O 2.938 1.630 4.758
O 2.938 7.023 12.961
O 3.115 11.543 9.504
O 3.115 14.415 1.301
O 3.526 3.917 8.950
O 3.526 4.736 0.747
O 3.575 0.568 13.947
O 3.575 8.085 5.744
O 3.848 4.106 1.766
O 3.848 4.547 9.969
O 3.888 12.759 6.437
O 3.888 13.200 14.640
O 4.161 9.221 10.662
O 4.161 16.738 2.459
O 4.210 12.570 15.659
O 4.210 13.388 7.456
O 4.621 2.890 15.105
O 4.621 5.762 6.902
O 4.798 10.283 3.445
O 4.798 15.675 11.648
O 5.084 11.731 11.471
O 5.084 14.228 3.268
O 5.502 9.907 7.788
O 5.502 16.052 15.991
O 5.644 2.000 8.801
O 5.644 6.653 0.598
O 5.960 10.653 8.801
O 5.960 15.306 0.598
O 6.102 1.254 7.788
O 6.102 7.399 15.991
O 6.520 3.078 11.471
O 6.520 5.575 3.268
O 6.805 1.630 3.445
O 6.805 7.023 11.648
O 6.983 11.543 15.105
O 6.983 14.415 6.902
O 7.394 3.917 15.659
O 7.394 4.736 7.456
O 7.443 0.568 10.662
O 7.443 8.085 2.459
O 7.716 4.106 6.437
O 7.716 4.547 14.640
```

2.
This record from Materials Project describes a geometry-optimized RbV4O10 structure. The functional is GGA+U.

## Properties
- DFT total energy (Ha/atom) = -0.2659
- SG = C2/m
- E (MP2020) (eV for the cell shown) = -122.2

```
15
Lattice="5.872 -1.865 0.000 5.872 1.865 0.000 -1.865 0.000 9.763" Properties=species:S:1:pos:R:3 pbc="T T T"
Rb 0.000 0.000 0.000
V 2.224 0.000 6.413
V 4.165 0.000 3.371
V 5.713 0.000 6.392
V 7.654 0.000 3.350
O 0.248 0.000 6.115
O 2.124 0.000 3.767
O 2.428 0.000 8.034
O 4.339 0.000 1.743
O 3.999 0.000 5.809
O 5.879 0.000 3.954
O 5.539 0.000 8.020
O 7.449 0.000 1.729
O 7.754 0.000 5.996
O 9.630 0.000 3.648
```

3.
This record from Materials Project describes a geometry-optimized RbVO3 structure. The functional is GGA+U.

## Properties
- DFT total energy (Ha/atom) = -0.2308
- SG = Pm-3m
- E (MP2020) (eV for the cell shown) = -35.2

```
5
Lattice="3.915 0.000 0.000 0.000 3.915 0.000 0.000 0.000 3.915" Properties=species:S:1:pos:R:3 pbc="T T T"
Rb 0.000 0.000 0.000
V 1.958 1.958 1.958
O 0.000 1.958 1.958
O 1.958 0.000 1.958
O 1.958 1.958 0.000
```

4.
This record from Materials Project describes a geometry-optimized Rb2V2O5 structure. The functional is GGA+U.

## Properties
- DFT total energy (Ha/atom) = -0.2361
- SG = Ima2
- E (MP2020) (eV for the cell shown) = -129.3

```
18
Lattice="-7.250 3.284 3.128 7.250 -3.284 3.128 7.250 3.284 -3.128" Properties=species:S:1:pos:R:3 pbc="T T T"
Rb 1.763 0.164 0.000
Rb 5.488 0.164 0.000
Rb 1.763 3.120 3.128
Rb 5.488 3.120 3.128
V 3.625 -0.614 3.106
V 0.000 3.284 0.230
V 0.000 0.000 3.359
V 3.625 3.898 -0.022
O 2.052 3.060 -0.108
O 5.199 3.060 -0.108
O -0.119 1.851 1.214
O 7.369 1.851 1.214
O 2.052 0.224 3.021
O 5.199 0.224 3.021
O -3.625 1.808 1.635
O 0.119 4.717 1.214
O -0.119 1.433 4.342
O 3.625 4.760 1.635
```

5.
This record from Materials Project describes a geometry-optimized RbVO3 structure. The functional is GGA+U.

## Properties
- DFT total energy (Ha/atom) = -0.2440
- SG = Pbcm
- E (MP2020) (eV for the cell shown) = -147.8

```
20
Lattice="5.499 0.000 0.000 0.000 11.626 0.000 0.000 0.000 5.825" Properties=species:S:1:pos:R:3 pbc="T T T"
Rb 0.355 1.191 1.456
Rb 0.355 4.622 4.369
Rb 5.143 7.004 1.456
Rb 5.143 10.435 4.369
V 2.604 7.741 4.369
V 2.604 9.697 1.456
V 2.894 1.928 4.369
V 2.894 3.884 1.456
O 0.935 7.535 4.369
O 0.935 9.904 1.456
O 2.118 0.452 4.369
O 2.118 5.361 1.456
O 2.354 2.906 0.000
O 2.354 2.906 2.913
O 3.145 8.719 0.000
O 3.145 8.719 2.913
O 3.380 6.265 4.369
O 3.380 11.174 1.456
O 4.564 1.722 4.369
O 4.564 4.091 1.456
```

6.
This record from Materials Project describes a geometry-optimized Rb2V4O9 structure. The functional is GGA+U.

## Properties
- DFT total energy (Ha/atom) = -0.2615
- SG = P4_2/m
- E (MP2020) (eV for the cell shown) = -239.4

```
30
Lattice="5.781 0.000 0.000 0.000 5.781 0.000 0.000 0.000 15.244" Properties=species:S:1:pos:R:3 pbc="T T T"
Rb 1.357 1.480 0.000
Rb 1.480 4.423 7.622
Rb 4.301 1.357 7.622
Rb 4.423 4.301 0.000
V 1.233 2.030 4.567
V 1.233 2.030 10.677
V 2.030 4.548 3.055
V 2.030 4.548 12.188
V 3.751 1.233 3.055
V 3.751 1.233 12.188
V 4.548 3.751 4.567
V 4.548 3.751 10.677
O 0.703 3.947 4.372
O 0.703 3.947 10.871
O 1.562 4.208 1.488
O 1.562 4.208 13.756
O 1.573 1.562 6.134
O 1.573 1.562 9.109
O 1.834 0.703 3.250
O 1.834 0.703 11.994
O 2.890 2.890 3.811
O 2.890 2.890 11.433
O 3.947 5.078 3.250
O 3.947 5.078 11.994
O 4.208 4.219 6.134
O 4.208 4.219 9.109
O 4.219 1.573 1.488
O 4.219 1.573 13.756
O 5.078 1.834 4.372
O 5.078 1.834 10.871
```

7.
This record from Materials Project describes a geometry-optimized Rb4V2O9 structure. The functional is GGA+U.

## Properties
- DFT total energy (Ha/atom) = -0.2059
- SG = P-1
- E (MP2020) (eV for the cell shown) = -93.6

```
15
Lattice="6.525 0.000 0.000 -0.719 6.980 0.000 -1.368 -2.546 6.793" Properties=species:S:1:pos:R:3 pbc="T T T"
Rb 0.728 -0.388 2.445
Rb 0.062 2.091 5.743
Rb 4.376 2.343 1.050
Rb 3.710 4.822 4.348
V 1.156 3.227 2.282
V 3.282 1.207 4.510
O -0.274 3.724 3.058
O 0.723 2.263 0.892
O 0.284 -1.590 6.209
O 2.047 4.601 1.790
O 2.219 2.217 3.396
O 2.391 -0.167 5.003
O 4.153 6.024 0.584
O 3.715 2.171 5.901
O 4.712 0.710 3.735
```

8.
This record from Materials Project describes a geometry-optimized RbV3O8 structure. The functional is GGA+U.

## Properties
- DFT total energy (Ha/atom) = -0.2623
- SG = P2_1/m
- E (MP2020) (eV for the cell shown) = -192.5

```
24
Lattice="5.135 0.000 0.000 0.000 8.717 0.000 -1.275 0.000 8.101" Properties=species:S:1:pos:R:3 pbc="T T T"
Rb -0.313 2.179 3.598
Rb 4.173 6.538 4.503
V -0.789 2.179 7.557
V 2.066 4.854 1.422
V 2.066 8.221 1.422
V 1.794 0.496 6.679
V 1.794 3.863 6.679
V 4.649 6.538 0.543
O -0.716 6.538 7.397
O 0.355 5.261 1.720
O 0.355 7.814 1.720
O 0.404 0.780 8.074
O 0.404 3.579 8.074
O 1.143 2.179 6.125
O 1.309 4.841 5.463
O 1.309 8.234 5.463
O 2.551 0.483 2.638
O 2.551 3.876 2.638
O 2.716 6.538 1.975
O 3.456 5.138 0.027
O 3.456 7.937 0.027
O 3.504 0.903 6.380
O 3.504 3.456 6.380
O 4.576 2.179 0.704
```

9.
This record from Materials Project describes a geometry-optimized RbW4O12 structure. The functional is GGA+U.

## Properties
- DFT total energy (Ha/atom) = -0.2684
- SG = Immm
- E (MP2020) (eV for the cell shown) = -450.5

```
51
Lattice="-3.761 6.514 7.744 3.761 -6.514 7.744 3.761 6.514 -7.744" Properties=species:S:1:pos:R:3 pbc="T T T"
Rb 0.000 0.000 0.000
Rb 0.000 0.000 4.021
Rb 0.000 0.000 11.467
W 1.871 3.244 -1.934
W 1.891 -3.270 5.811
W 3.761 0.000 1.939
W 1.871 3.244 1.934
W 1.891 -3.270 9.678
W 3.761 0.000 5.818
W 0.000 6.514 1.927
W 1.871 9.783 -1.934
W 1.891 3.270 5.811
W 0.000 6.514 5.805
W 1.871 9.783 1.934
W 1.891 3.270 9.678
O 1.881 3.257 -3.872
O 1.881 -3.257 3.872
O 3.761 0.000 0.000
O 2.374 -1.373 1.934
O 5.149 -1.373 1.934
O 3.761 -3.779 5.811
O 3.761 3.743 -1.950
O 2.374 1.373 1.934
O 5.149 1.373 1.934
O 1.877 3.252 0.000
O 1.884 -3.262 7.744
O 3.761 0.000 3.869
O 1.369 5.126 -1.950
O 2.392 -1.388 5.794
O 0.000 2.734 1.933
O 3.761 3.743 1.950
O 1.369 7.901 -1.950
O 2.392 1.388 5.794
O -1.881 3.257 3.872
O 0.000 6.514 0.000
O 1.881 3.257 3.872
O 1.369 5.126 1.950
O 2.392 -1.388 9.694
O 0.000 2.771 5.794
O 3.761 3.779 5.811
O 1.369 7.901 1.950
O 2.392 1.388 9.694
O 1.877 9.775 0.000
O 0.000 6.514 3.876
O 1.884 3.262 7.744
O -1.388 5.141 5.811
O 1.388 5.141 5.811
O 0.000 2.771 9.694
O 0.000 10.293 1.933
O -1.388 7.886 5.811
O 1.388 7.886 5.811
```

10.
This record from Materials Project describes a geometry-optimized RbWO7 structure. The functional is GGA+U.

## Properties
- DFT total energy (Ha/atom) = -0.2110
- SG = P-1
- E (MP2020) (eV for the cell shown) = -228.9

```
36
Lattice="6.401 0.000 0.000 1.203 8.345 0.000 0.059 3.313 13.055" Properties=species:S:1:pos:R:3 pbc="T T T"
Rb 1.041 2.192 0.840
Rb 1.515 3.931 5.002
Rb 6.149 7.727 8.054
Rb 6.623 9.465 12.215
W 2.278 7.592 5.161
W 3.753 5.827 2.159
W 3.911 5.830 10.896
W 5.386 4.066 7.895
O 0.512 4.431 9.093
O 0.844 3.429 8.059
O 1.410 1.038 3.508
O 2.092 6.392 6.434
O 2.486 7.306 1.315
O 2.657 9.236 6.224
O 2.518 7.575 11.151
O 2.612 7.164 9.875
O 2.492 4.527 1.919
O 2.861 6.575 0.248
O 2.493 4.973 11.617
O 3.380 6.579 3.890
O 2.653 1.352 3.548
O 3.912 8.628 5.834
O 3.752 3.029 7.222
O 5.011 10.306 9.507
O 4.284 5.078 9.165
O 5.170 6.684 1.438
O 4.803 5.083 12.807
O 5.172 7.131 11.136
O 5.051 4.493 3.180
O 5.145 4.082 1.904
O 5.006 2.421 6.831
O 5.177 4.351 11.740
O 5.572 5.265 6.621
O 6.254 10.619 9.547
O 6.819 8.229 4.997
O 7.152 7.226 3.962
```

Sequential formation enthalpy at 0 K output: -1.18, -2.36, -2.05, -2.20, -2.41, -2.46, -1.80, -2.37, -2.23, -0.96 eV per atom